# 1
A relaxed Pb4C2SO12 crystal, computed with GGA-PBE.

a = 9.179 Å, b = 9.179 Å, c = 11.844 Å
α = 90.00°, β = 90.00°, γ = 120.00°
Fractional positions:
Pb 0.002 0.283 0.000
Pb 0.004 0.320 0.442
Pb 0.280 0.998 0.000
Pb 0.316 0.996 0.442
Pb 0.348 0.347 0.227
Pb 0.396 0.383 0.671
Pb 0.617 0.013 0.671
Pb 0.653 0.001 0.227
Pb 0.680 0.684 0.442
Pb 0.717 0.720 0.000
Pb 0.987 0.604 0.671
Pb 0.999 0.652 0.227
C 0.000 0.000 0.202
C 0.000 0.000 0.493
C 0.333 0.667 0.179
C 0.333 0.667 0.481
C 0.667 0.333 0.176
C 0.667 0.333 0.481
S 0.000 0.000 0.822
S 0.333 0.667 0.836
S 0.667 0.333 0.839
O 0.000 0.000 0.953
O 0.004 0.729 0.044
O 0.006 0.145 0.203
O 0.007 0.862 0.491
O 0.068 0.177 0.787
O 0.110 0.932 0.787
O 0.138 0.145 0.491
O 0.139 0.994 0.203
O 0.154 0.577 0.876
O 0.186 0.530 0.180
O 0.197 0.677 0.479
O 0.271 0.274 0.044
O 0.323 0.520 0.479
O 0.333 0.667 0.708
O 0.344 0.814 0.180
O 0.377 0.042 0.630
O 0.422 0.846 0.876
O 0.423 0.578 0.876
O 0.470 0.656 0.180
O 0.480 0.803 0.479
O 0.491 0.276 0.875
O 0.528 0.338 0.479
O 0.529 0.188 0.178
O 0.659 0.471 0.178
O 0.662 0.189 0.479
O 0.664 0.623 0.630
O 0.667 0.333 0.710
O 0.724 0.215 0.875
O 0.726 0.996 0.044
O 0.785 0.509 0.875
O 0.811 0.472 0.479
O 0.812 0.341 0.178
O 0.823 0.890 0.787
O 0.855 0.861 0.203
O 0.855 0.993 0.491
O 0.958 0.336 0.630

Summary:
Formation enthalpy at 0 K ... -1.599 eV per atom
Magnetization ... 2.000 μB per formula unit
Space group ... P3 (143)
Crystal system ... trigonal

---

# 2
A relaxed PrCO4 crystal, computed with GGA-PBE.

a = 7.450 Å, b = 4.995 Å, c = 8.448 Å
α = 90.00°, β = 90.00°, γ = 90.00°
Fractional positions:
Pr 0.148 0.250 0.168
Pr 0.352 0.750 0.668
Pr 0.648 0.250 0.332
Pr 0.852 0.750 0.832
C 0.196 0.250 0.820
C 0.304 0.750 0.320
C 0.696 0.250 0.680
C 0.804 0.750 0.180
O 0.037 0.750 0.599
O 0.150 0.025 0.886
O 0.150 0.475 0.886
O 0.206 0.750 0.195
O 0.294 0.250 0.695
O 0.350 0.525 0.386
O 0.350 0.975 0.386
O 0.463 0.250 0.099
O 0.537 0.750 0.901
O 0.650 0.025 0.614
O 0.650 0.475 0.614
O 0.706 0.750 0.305
O 0.794 0.250 0.805
O 0.850 0.525 0.114
O 0.850 0.975 0.114
O 0.963 0.250 0.401

Summary:
Formation enthalpy at 0 K ... -2.438 eV per atom
Space group ... Pnma (62)
Crystal system ... orthorhombic

---

Repeat the second record exactly.
A relaxed PrCO4 crystal, computed with GGA-PBE.

a = 7.450 Å, b = 4.995 Å, c = 8.448 Å
α = 90.00°, β = 90.00°, γ = 90.00°
Fractional positions:
Pr 0.148 0.250 0.168
Pr 0.352 0.750 0.668
Pr 0.648 0.250 0.332
Pr 0.852 0.750 0.832
C 0.196 0.250 0.820
C 0.304 0.750 0.320
C 0.696 0.250 0.680
C 0.804 0.750 0.180
O 0.037 0.750 0.599
O 0.150 0.025 0.886
O 0.150 0.475 0.886
O 0.206 0.750 0.195
O 0.294 0.250 0.695
O 0.350 0.525 0.386
O 0.350 0.975 0.386
O 0.463 0.250 0.099
O 0.537 0.750 0.901
O 0.650 0.025 0.614
O 0.650 0.475 0.614
O 0.706 0.750 0.305
O 0.794 0.250 0.805
O 0.850 0.525 0.114
O 0.850 0.975 0.114
O 0.963 0.250 0.401

Summary:
Formation enthalpy at 0 K ... -2.438 eV per atom
Space group ... Pnma (62)
Crystal system ... orthorhombic

---

Q: What is the formation enthalpy at 0 K in the second record?
A: -2.438 eV per atom